Record 1
Compound: Li2MnB2O6
Source: the Materials Project database
Functional: PBE with a Hubbard U
Structure: optimized geometry

Results
theoretical density: 2795 kg/m3
total magnetization: 0.27 μB per atom
energy with MP2020 corrections: -7.53 eV/atom
formation enthalpy at 0 K: -2.43 eV per atom

```
22
Lattice="5.9694 0.0000 -0.0847 0.0000 7.7314 -0.0001 -2.4907 -0.0001 4.8356" Properties=species:S:1:pos:R:3 pbc="T T T"
Li 0.1741 3.3625 1.8537
Li 0.3198 7.2287 2.9393
Li 3.1584 0.5043 1.8133
Li 3.3049 4.3694 2.8951
Mn -0.0005 7.7313 0.0014
Mn 0.4945 3.8648 4.7918
B -1.4001 1.9905 4.2059
B 1.8942 5.8563 0.5874
B 1.5855 1.8751 4.1624
B 4.8780 5.7408 0.5462
O -1.2978 0.7919 3.5055
O -0.9735 3.2041 3.7058
O 0.1510 5.7057 4.2559
O 0.3430 1.8401 0.5373
O 1.4671 7.0701 1.0875
O 1.7920 4.6576 1.2875
O 1.6883 3.0726 3.4603
O 2.0110 0.6606 3.6651
O 3.1355 5.8925 4.2148
O 3.3280 2.0270 0.4936
O 4.4521 4.5261 1.0435
O 4.7753 6.9384 1.2478
```

Record 2
Compound: LiMn4B4O12
Source: the Materials Project database
Functional: PBE with a Hubbard U
Structure: optimized geometry

Results
theoretical density: 3103 kg/m3
total magnetization: 0.81 μB per atom
energy with MP2020 corrections: -8.32 eV/atom
formation enthalpy at 0 K: -2.38 eV per atom

```
42
Lattice="-1.0609 -5.3379 -2.9205 4.6712 3.0152 -5.4308 8.0911 -4.2230 4.9077" Properties=species:S:1:pos:R:3 pbc="T T T"
Li 9.2569 -3.2325 -0.9351
Li 2.4445 -3.3132 -2.5085
Mn 7.5276 -2.6967 -3.4078
Mn 7.8353 -5.8472 -2.9196
Mn 3.8661 -0.6985 -0.5240
Mn 3.6636 -0.7810 -5.7858
Mn 4.1738 -3.8490 -0.0358
Mn 3.9377 -3.9004 -5.5600
Mn 7.7637 -2.6454 2.1164
Mn 8.0378 -5.7647 2.3422
B 6.4901 -2.2432 -0.6506
B 1.6170 -5.2179 -0.7650
B 2.3797 0.0554 -3.2748
B 10.2194 -4.1813 -3.5949
B 10.0844 -1.3278 -2.6786
B 5.2113 -4.3025 -2.7930
B 1.4820 -2.3644 0.1513
B 9.3217 -6.6011 -0.1687
O 8.9381 -1.3016 -3.4958
O 6.1756 0.6587 -3.9247
O 9.0483 -4.0854 -2.8292
O 7.6818 -2.3698 0.0627
O 4.9562 0.6636 -6.0032
O 6.4741 -1.9902 -1.9879
O 10.0266 -1.5240 -1.3559
O 5.2703 -2.2392 0.0491
O 5.0402 -2.2506 -5.5195
O 3.5560 0.0771 -2.5239
O 6.4312 -4.3065 -3.4927
O 10.4661 -4.0961 0.2677
O 5.2273 -4.5555 -1.4557
O 9.2475 -4.2093 2.3309
O 4.0196 -4.1759 -3.5062
O 2.6531 -2.4603 -0.6144
O 2.4539 -2.3364 -5.7745
O 5.5259 -7.2044 0.4811
O 1.2353 -2.4496 -3.7113
O 2.7633 -5.2441 0.0522
O 8.1454 -6.6228 -0.9197
O 6.6612 -4.2951 2.0759
O 1.6749 -5.0217 -2.0876
O 6.7452 -7.2093 2.5596
```

Record 3
Compound: Li5Mn6B6O18
Source: the Materials Project database
Functional: PBE with a Hubbard U
Structure: optimized geometry

Results
theoretical density: 3163 kg/m3
total magnetization: 0.83 μB per atom
energy with MP2020 corrections: -8.01 eV/atom
formation enthalpy at 0 K: -2.48 eV per atom

```
70
Lattice="-2.5979 -6.2811 4.7352 5.8550 -3.6751 5.4477 -1.8605 4.2280 11.7593" Properties=species:S:1:pos:R:3 pbc="T T T"
Li 0.1591 0.4137 2.8509
Li 1.0716 -1.9358 7.0705
Li -0.8840 -0.0060 8.6508
Li 4.0599 -1.2510 9.8934
Li 0.1481 2.6243 13.0287
Li 2.0454 0.6626 11.4726
Li 3.0603 -1.7071 15.6063
Li 3.1632 -7.1155 9.6304
Li 1.2223 -5.1550 11.1964
Li -2.7010 -1.2158 14.4864
Mn -0.0476 -4.5731 5.6995
Mn -2.1211 -2.6446 7.1807
Mn 2.9728 -3.9242 8.6241
Mn 0.9860 -2.0553 10.3330
Mn -1.0559 -0.2316 11.9169
Mn -1.9339 -5.2818 10.8412
Mn 2.5208 -1.0969 4.4886
Mn -0.1907 -2.4061 15.7423
Mn 1.7487 -4.3319 14.1520
Mn 2.9313 -1.6683 18.7614
Mn 2.0172 -7.0266 17.8382
Mn -0.0114 -5.0992 19.4087
B -0.4751 -1.7013 4.6563
B -0.0394 2.1790 10.2737
B 2.0198 0.2058 8.6189
B 1.4588 -1.2979 13.3189
B 3.4414 -3.3551 11.7037
B -0.5519 0.5543 14.8341
B -2.0390 -2.3405 10.2249
B -0.0330 -4.3268 8.5932
B 1.8022 -6.3064 7.0874
B 1.3749 -7.9007 11.7799
B 1.9162 -4.0849 17.2127
B -2.4869 -6.2596 4.7628
O 0.2776 -0.6826 1.2280
O 0.4017 -0.6392 4.5861
O 2.8359 -1.9141 6.3354
O -1.0161 1.7801 9.3601
O 0.9008 -0.1282 7.8429
O 4.2682 -2.3254 8.2231
O 2.2230 -0.4505 9.8413
O 0.1761 1.4121 11.4309
O -0.3740 -2.5882 5.7608
O -1.7104 -5.1193 4.5167
O 4.3448 -2.3193 11.5549
O 2.4424 -0.3399 13.1732
O 0.3987 1.5352 14.7459
O 0.8396 -3.2571 8.5156
O -1.1214 -1.2519 10.1911
O 2.7494 -5.3222 6.9893
O 0.4618 -1.3912 12.3431
O -1.4593 0.3342 13.7846
O -0.9189 -4.5489 7.5040
O 2.4513 -3.5849 10.7484
O 4.4039 -5.5835 9.1562
O 3.1965 0.1156 16.3071
O 1.4802 -2.1699 14.3932
O 3.5062 -4.1828 12.8212
O -0.6812 -0.2881 15.9353
O -2.0191 -3.1847 11.2938
O -0.0743 -5.1700 9.6783
O 1.8042 -7.2293 8.1258
O 2.2322 -6.8831 11.3422
O 0.3302 -5.1399 12.9175
O -1.9074 -2.9573 14.7961
O 2.9594 -3.1354 17.0203
O 2.9333 -6.1734 14.6159
O 0.9236 -4.1896 16.2516
O 0.7824 -6.3767 6.1019
O 1.9384 -4.8711 18.3428
```

The lowest energy with MP2020 corrections belongs to which entry? LiMn4B4O12